## Co2P2O7 (PBE+U)

Data for Co2P2O7 after structural relaxation.

Summary:
- Space group: P2_1/c, No. 14
- Energy of formation from the pure elements: -2.250 eV per atom
- Polymorph energy (0 for the lowest one): 4 meV/atom

Cell lengths 4.5455, 9.9457, 5.4956 Å; angles 90.00, 98.16, 90.00 degrees
With the nearest neighbours (Å) after each atom.
Positions (direct):
1 Co 0.1185 0.1606 0.4069  5 O 2.02-2.22
2 Co 0.1185 0.3394 0.9069  5 O 2.02-2.22
3 Co 0.8815 0.6606 0.0931  5 O 2.02-2.22
4 Co 0.8815 0.8394 0.5931  5 O 2.02-2.22
5 P 0.3522 0.6088 0.6547  4 O 1.53-1.58
6 P 0.3522 0.8912 0.1547  4 O 1.53-1.58
7 P 0.6478 0.1088 0.8453  4 O 1.53-1.58
8 P 0.6478 0.3912 0.3453  4 O 1.53-1.58
9 O 0.1199 0.6833 0.4725  1 P 1.54
10 O 0.1199 0.8167 0.9725  1 P 1.54
11 O 0.2080 0.5349 0.8524  1 P 1.53
12 O 0.2080 0.9651 0.3524  1 P 1.53
13 O 0.3897 0.2002 0.7341  1 P 1.54
14 O 0.3897 0.2998 0.2341  1 P 1.54
15 O 0.5000 0.0000 0.0000  2 P 1.58
16 O 0.5000 0.5000 0.5000  2 P 1.58
17 O 0.6103 0.7002 0.7659  1 P 1.54
18 O 0.6103 0.7998 0.2659  1 P 1.54
19 O 0.7920 0.0349 0.6476  1 P 1.53
20 O 0.7920 0.4651 0.1476  1 P 1.53
21 O 0.8801 0.1833 0.0275  1 P 1.54
22 O 0.8801 0.3167 0.5275  1 P 1.54